1.
Material: Er2BPt6
Method: DFT, PBE-GGA
State: relaxed

Cell: 4.301 4.301 8.095 Å, 90.00 90.00 90.00°
Atoms (fractional coordinates):
Er1 0.000 0.000 0.241
Er2 0.000 0.000 0.759
B1 0.500 0.500 0.500
Pt1 0.000 0.500 0.000
Pt2 0.000 0.500 0.500
Pt3 0.500 0.000 0.000
Pt4 0.500 0.000 0.500
Pt5 0.500 0.500 0.239
Pt6 0.500 0.500 0.761

Values from the calculation:
Its theoretical density is 16.8 g cm⁻³. The formation energy from the elements is -0.95 eV per atom. As for the calculated volume: 16.641 Å³ per atom.

2.
Material: ErReB4
Method: DFT, PBE-GGA
State: relaxed

Cell: 5.947 11.501 3.605 Å, 90.00 90.00 90.00°
Atoms (fractional coordinates):
Er1 0.127 0.150 0.000
Er2 0.373 0.650 0.000
Er3 0.627 0.350 0.000
Er4 0.873 0.850 0.000
Re1 0.134 0.412 0.000
Re2 0.366 0.912 0.000
Re3 0.634 0.088 0.000
Re4 0.866 0.588 0.000
B1 0.020 0.693 0.500
B2 0.114 0.548 0.500
B3 0.136 0.969 0.500
B4 0.210 0.815 0.500
B5 0.290 0.315 0.500
B6 0.364 0.469 0.500
B7 0.386 0.048 0.500
B8 0.480 0.193 0.500
B9 0.520 0.807 0.500
B10 0.614 0.952 0.500
B11 0.636 0.531 0.500
B12 0.710 0.685 0.500
B13 0.790 0.185 0.500
B14 0.864 0.031 0.500
B15 0.886 0.452 0.500
B16 0.980 0.307 0.500

Values from the calculation:
Its theoretical density is 10.7 g cm⁻³. The formation energy from the elements is -0.60 eV per atom. As for the calculated volume: 10.276 Å³ per atom.